(1)
K2Cd3Te4 | PBE-GGA | relaxed

abc: 15.428 11.610 7.450
angles: 90.00 90.00 90.00
Atoms (fractional coordinates):
K1 0.000 0.000 0.000
K2 0.000 0.500 0.000
K3 0.034 0.250 0.479
K4 0.466 0.750 0.979
K5 0.500 0.000 0.500
K6 0.500 0.500 0.500
K7 0.534 0.250 0.021
K8 0.966 0.750 0.521
Cd1 0.202 0.750 0.230
Cd2 0.244 0.098 0.160
Cd3 0.244 0.402 0.160
Cd4 0.256 0.598 0.660
Cd5 0.256 0.902 0.660
Cd6 0.298 0.250 0.730
Cd7 0.702 0.750 0.270
Cd8 0.744 0.098 0.340
Cd9 0.744 0.402 0.340
Cd10 0.756 0.598 0.840
Cd11 0.756 0.902 0.840
Cd12 0.798 0.250 0.770
Te1 0.134 0.533 0.386
Te2 0.134 0.967 0.386
Te3 0.136 0.250 0.925
Te4 0.145 0.750 0.869
Te5 0.355 0.250 0.369
Te6 0.364 0.750 0.425
Te7 0.366 0.033 0.886
Te8 0.366 0.467 0.886
Te9 0.634 0.533 0.114
Te10 0.634 0.967 0.114
Te11 0.636 0.250 0.575
Te12 0.645 0.750 0.631
Te13 0.855 0.250 0.131
Te14 0.864 0.750 0.075
Te15 0.866 0.033 0.614
Te16 0.866 0.467 0.614

Summary:
Formation energy from the elements = -0.87 eV/atom
Crystal system = orthorhombic
Final energy = -94.640 eV/cell

(2)
MgCo4As4S4 | PBE-GGA | relaxed

abc: 5.794 5.808 6.148
angles: 89.58 87.45 84.19
Atoms (fractional coordinates):
Mg1 0.000 0.000 0.000
Co1 0.431 0.122 0.842
Co2 0.459 0.615 0.372
Co3 0.914 0.609 0.772
Co4 0.935 0.123 0.420
As1 0.314 0.248 0.485
As2 0.328 0.746 0.734
As3 0.558 0.984 0.235
As4 0.570 0.485 0.976
S1 0.109 0.783 0.310
S2 0.128 0.369 0.971
S3 0.767 0.973 0.701
S4 0.796 0.477 0.478

Summary:
Polymorph energy (0 for the lowest one) = 76 meV per atom
Formation energy from the elements = -0.36 eV/atom
Crystal system = triclinic
Final energy = -67.879 eV/cell

(3)
Ti3H3Au | PBE-GGA | relaxed

abc: 5.302 5.302 5.302
angles: 90.00 90.00 90.00
Atoms (fractional coordinates):
Ti1 0.000 0.250 0.500
Ti2 0.000 0.750 0.500
Ti3 0.250 0.500 0.000
Ti4 0.500 0.000 0.250
Ti5 0.500 0.000 0.750
Ti6 0.750 0.500 0.000
H1 0.000 0.500 0.250
H2 0.000 0.500 0.750
H3 0.250 0.000 0.500
H4 0.500 0.250 0.000
H5 0.500 0.750 0.000
H6 0.750 0.000 0.500
Au1 0.000 0.000 0.000
Au2 0.500 0.500 0.500

Summary:
Formation energy from the elements = -0.45 eV/atom
Crystal system = cubic
Final energy = -80.539 eV/cell

Among the records above, which one has the lowest final energy?
K2Cd3Te4